Density functional theory data (PBE) for an optimized crystal structure of Ce2Ga9CoGe2.

## Properties
The calculation puts the magnetic moment at 0.03 μB/f.u. Its symmetry is P4/nmm (129). Its energy is -4.333 eV/atom.

Cell: 5.9492 5.9492 15.2069 Å, 90.00 90.00 90.00°
Fractional positions:
Ce  0.2500  0.7500  0.2443
Ce  0.2500  0.7500  0.7557
Ce  0.7500  0.2500  0.2443
Ce  0.7500  0.2500  0.7557
Ga  0.0108  0.0108  0.0849
Ga  0.0108  0.4892  0.0849
Ga  0.0300  0.0300  0.4165
Ga  0.0300  0.4700  0.4165
Ga  0.2500  0.2500  0.6529
Ga  0.4700  0.0300  0.4165
Ga  0.4700  0.4700  0.4165
Ga  0.4892  0.0108  0.0849
Ga  0.4892  0.4892  0.0849
Ga  0.5108  0.5108  0.9151
Ga  0.5108  0.9892  0.9151
Ga  0.5300  0.5300  0.5835
Ga  0.5300  0.9700  0.5835
Ga  0.7500  0.7500  0.3471
Ga  0.9700  0.5300  0.5835
Ga  0.9700  0.9700  0.5835
Ga  0.9892  0.5108  0.9151
Ga  0.9892  0.9892  0.9151
Co  0.2500  0.7500  0.0000
Co  0.7500  0.2500  0.0000
Ge  0.2500  0.2500  0.2219
Ge  0.2500  0.2500  0.8131
Ge  0.7500  0.7500  0.1869
Ge  0.7500  0.7500  0.7781